No. 1
NpNiSn, relaxed, DFT PBE; energy of formation from the pure elements = -0.11 eV/atom; space-group type = Pnma, No. 62
1.0
4.495 0.000 0.000
0.000 7.186 0.000
0.000 0.000 7.421
Ni Sn Np
4 4 4
direct
0.750 0.701 0.915 Ni
0.750 0.201 0.585 Ni
0.250 0.299 0.085 Ni
0.250 0.799 0.415 Ni
0.250 0.177 0.411 Sn
0.750 0.823 0.589 Sn
0.250 0.677 0.089 Sn
0.750 0.323 0.911 Sn
0.750 0.476 0.315 Np
0.250 0.524 0.685 Np
0.250 0.024 0.815 Np
0.750 0.976 0.185 Np

***

No. 2
Sc2NiOs, relaxed, DFT PBE; energy of formation from the pure elements = -0.50 eV/atom; space-group type = Fm-3m, No. 225
1.0
0.000 3.200 3.200
3.200 0.000 3.200
3.200 3.200 0.000
Sc Ni Os
2 1 1
direct
0.250 0.250 0.250 Sc
0.750 0.750 0.750 Sc
0.500 0.500 0.500 Ni
0.000 0.000 0.000 Os

***

No. 3
NiP2, relaxed, DFT PBE; energy of formation from the pure elements = -0.36 eV/atom; space-group type = C2/c, No. 15
1.0
-1.208 -2.751 3.059
1.385 -3.614 -1.846
4.435 -2.159 2.724
P Ni
4 2
direct
0.419 0.189 0.833 P
0.581 0.811 0.167 P
0.189 0.419 0.333 P
0.811 0.581 0.667 P
0.500 0.000 0.500 Ni
0.000 0.500 0.000 Ni

***

No. 4
Ni5P2, relaxed, DFT PBE; energy of formation from the pure elements = -0.45 eV/atom; space-group type = P6_3cm, No. 185
1.0
-3.274 -5.670 0.000
-3.274 5.670 0.000
0.000 0.000 -12.240
Ni P
30 12
direct
0.000 0.306 0.696 Ni
0.235 0.235 0.404 Ni
0.235 0.000 0.904 Ni
0.000 0.235 0.904 Ni
0.000 0.385 0.088 Ni
0.306 0.306 0.196 Ni
0.765 0.000 0.404 Ni
0.000 0.383 0.305 Ni
0.306 0.000 0.696 Ni
0.694 0.000 0.196 Ni
0.000 0.000 0.075 Ni
0.000 0.694 0.196 Ni
0.000 0.617 0.805 Ni
0.694 0.694 0.696 Ni
0.383 0.383 0.805 Ni
0.385 0.000 0.088 Ni
0.765 0.765 0.904 Ni
0.667 0.333 0.937 Ni
0.617 0.000 0.805 Ni
0.615 0.615 0.088 Ni
0.667 0.333 0.437 Ni
0.383 0.000 0.305 Ni
0.000 0.765 0.404 Ni
0.385 0.385 0.588 Ni
0.615 0.000 0.588 Ni
0.617 0.617 0.305 Ni
0.000 0.615 0.588 Ni
0.333 0.667 0.937 Ni
0.333 0.667 0.437 Ni
0.000 0.000 0.575 Ni
0.325 0.325 0.002 P
0.667 0.333 0.232 P
0.333 0.667 0.732 P
0.000 0.000 0.769 P
0.675 0.675 0.502 P
0.000 0.325 0.502 P
0.000 0.675 0.002 P
0.000 0.000 0.269 P
0.667 0.333 0.732 P
0.333 0.667 0.232 P
0.325 0.000 0.502 P
0.675 0.000 0.002 P

***

No. 5
NiP, relaxed, DFT PBE; energy of formation from the pure elements = -0.41 eV/atom; space-group type = Cmc2_1, No. 36
1.0
-2.280 3.729 -3.932
-3.580 -3.041 3.535
0.203 3.661 3.354
Ni P
6 6
direct
0.590 0.297 0.885 Ni
0.703 0.410 0.385 Ni
0.297 0.590 0.885 Ni
0.054 0.054 0.857 Ni
0.410 0.703 0.385 Ni
0.946 0.946 0.357 Ni
0.025 0.347 0.551 P
0.347 0.025 0.551 P
0.312 0.312 0.199 P
0.688 0.688 0.699 P
0.653 0.975 0.051 P
0.975 0.653 0.051 P

***

No. 6
NiP, relaxed, DFT PBE; energy of formation from the pure elements = -0.43 eV/atom; space-group type = Pbca, No. 61
1.0
4.876 0.000 0.000
0.000 6.026 0.000
0.000 0.000 6.916
P Ni
8 8
direct
0.673 0.443 0.885 P
0.173 0.557 0.615 P
0.827 0.943 0.115 P
0.673 0.943 0.615 P
0.327 0.557 0.115 P
0.827 0.443 0.385 P
0.173 0.057 0.885 P
0.327 0.057 0.385 P
0.985 0.307 0.100 Ni
0.485 0.693 0.400 Ni
0.515 0.807 0.900 Ni
0.985 0.807 0.400 Ni
0.485 0.193 0.100 Ni
0.515 0.307 0.600 Ni
0.015 0.693 0.900 Ni
0.015 0.193 0.600 Ni

***

Q: Which formula does entry 6 have?
A: NiP

***

Q: Which of these has the highest energy of formation from the pure elements?
A: NpNiSn

***

Q: Which formula does entry 2 have?
A: Sc2NiOs

***

Q: Which formula does entry 4 have?
A: Ni5P2